Li6MnCr3P6O24: optimized geometry, PBE with a Hubbard U.

Cell lengths 8.4846, 8.5094, 8.6322 Å; angles 61.29, 62.05, 62.04 degrees
With the nearest neighbours (Å) after each atom.
Element x y z (fractional)
1 O 0.6112 0.0197 0.8119  1 P 1.56
2 Li 0.4928 0.4753 0.5037  3 O 2.00-2.20
3 P 0.0511 0.7495 0.4490  4 O 1.52-1.56
4 O 0.1166 0.3001 0.5151  1 P 1.52
5 Li 0.3533 0.7529 0.1445  5 O 2.11-2.34
6 O 0.6928 0.4811 0.8873  1 P 1.54
7 O 0.4901 0.1270 0.3030  1 P 1.51
8 Li 0.6513 0.2403 0.8512  3 O 2.13-2.25
9 P 0.5379 0.9580 0.2541  4 O 1.51-1.58
10 O 0.2672 0.0464 0.9220  1 P 1.56
11 Cr 0.6454 0.6429 0.6460  6 O 1.98-2.05
12 O 0.0682 0.9061 0.2535  1 P 1.56
13 O 0.7326 0.9398 0.0998  1 P 1.56
14 O 0.4291 0.2405 0.5942  1 P 1.54
15 O 0.8096 0.6165 0.0098  1 P 1.55
16 O 0.8907 0.6864 0.4852  1 P 1.54
17 O 0.2087 0.3716 0.0025  1 P 1.51
18 O 0.3817 0.9695 0.2014  1 P 1.54
19 O 0.2466 0.5937 0.4241  1 P 1.56
20 O 0.4890 0.8864 0.6926  1 P 1.54
21 P 0.7493 0.4517 0.0472  4 O 1.54-1.55
22 O 0.5624 0.7639 0.4180  1 P 1.58
23 P 0.4500 0.0485 0.7522  4 O 1.54-1.56
24 O 0.9839 0.2036 0.3775  1 P 1.52
25 Cr 0.3540 0.3588 0.3627  6 O 1.94-2.04
26 O 0.4100 0.5668 0.7703  1 P 1.57
27 Li 0.8449 0.6640 0.2527  2 O 2.06-2.13
28 Li 0.9880 0.0235 0.0166  3 O 2.03-2.19
29 O 0.0291 0.8113 0.5986  1 P 1.52
30 O 0.9336 0.0832 0.7339  1 P 1.58
31 O 0.5804 0.4532 0.2295  1 P 1.55
32 O 0.0872 0.7360 0.9312  1 P 1.57
33 Mn 0.8566 0.8534 0.8496  5 O 1.92-2.06
34 Li 0.2485 0.8435 0.6478  3 O 2.12-2.25
35 P 0.2502 0.5440 0.9627  4 O 1.51-1.57
36 Cr 0.1392 0.1405 0.1452  6 O 1.95-2.06
37 P 0.9552 0.2492 0.5402  4 O 1.52-1.58
38 O 0.9081 0.2622 0.0694  1 P 1.54
39 O 0.2957 0.5323 0.1212  1 P 1.54
40 O 0.7589 0.4069 0.5715  1 P 1.57

Computed properties:
For the formation enthalpy at 0 K, the calculation gives -103.873 eV per formula unit. The energy with MP2020 corrections is -7.617 eV per atom. For the total energy, the calculation gives -7.013 eV/atom.

=====

Li4Mn3CrP4O16: optimized geometry, PBE with a Hubbard U.

Cell lengths 6.2261, 4.7914, 10.4744 Å; angles 89.03, 90.00, 90.00 degrees
With the nearest neighbours (Å) after each atom.
Element x y z (fractional)
1 Mn 0.5000 0.5293 0.2185  6 O 2.15-2.30
2 Cr 0.5000 0.9518 0.7160  4 O 2.09-2.14
3 O 0.3010 0.2228 0.3413  1 P 1.57
4 O 0.5000 0.7649 0.4048  1 P 1.54
5 P 0.0000 0.5923 0.0924  4 O 1.54-1.57
6 O 0.5000 0.2959 0.0449  1 P 1.56
7 O 0.0000 0.7905 0.4548  1 P 1.56
8 O 0.0000 0.2706 0.0976  1 P 1.54
9 Li 0.7512 0.4996 0.5011  6 O 2.13-2.24
10 O 0.8006 0.7228 0.1616  1 P 1.57
11 O 0.8022 0.7778 0.6621  1 P 1.57
12 P 0.5000 0.0859 0.4100  4 O 1.54-1.57
13 Li 0.7507 0.0030 0.9985  6 O 2.13-2.30
14 O 0.0000 0.7160 0.9543  1 P 1.55
15 Mn 0.0000 0.4698 0.7821  6 O 2.15-2.29
16 Li 0.2488 0.4996 0.5011  6 O 2.13-2.24
17 O 0.5000 0.7349 0.8960  1 P 1.55
18 O 0.0000 0.2332 0.5941  1 P 1.54
19 Li 0.2493 0.0030 0.9985  6 O 2.13-2.30
20 Mn 0.0000 0.0297 0.2808  6 O 2.14-2.31
21 O 0.6990 0.2228 0.3413  1 P 1.57
22 O 0.2985 0.2815 0.8394  1 P 1.56
23 P 0.0000 0.9119 0.5919  4 O 1.54-1.57
24 O 0.7015 0.2815 0.8394  1 P 1.56
25 P 0.5000 0.4113 0.9048  4 O 1.55-1.56
26 O 0.5000 0.1967 0.5493  1 P 1.56
27 O 0.1978 0.7778 0.6621  1 P 1.57
28 O 0.1994 0.7228 0.1616  1 P 1.57

Computed properties:
For the formation enthalpy at 0 K, the calculation gives -73.219 eV per formula unit. The energy with MP2020 corrections is -7.815 eV per atom. For the total energy, the calculation gives -7.172 eV/atom.

=====

LiTi3MnCrP6O24: optimized geometry, PBE with a Hubbard U.

Cell lengths 8.6292, 8.6292, 8.6292 Å; angles 59.92, 59.92, 59.92 degrees
With the nearest neighbours (Å) after each atom.
Element x y z (fractional)
1 O 0.5847 0.2354 0.4435  1 P 1.57
2 O 0.0845 0.9434 0.7322  1 P 1.54
3 P 0.9573 0.5415 0.2492  4 O 1.54-1.56
4 Mn 0.5006 0.5006 0.5006  6 O 2.24-2.26
5 O 0.5549 0.4146 0.7654  1 P 1.55
6 O 0.9156 0.0618 0.2685  1 P 1.55
7 O 0.9999 0.6245 0.8062  1 P 1.55
8 O 0.8828 0.4936 0.6932  1 P 1.51
9 O 0.1928 0.0018 0.3769  1 P 1.54
10 O 0.0018 0.3769 0.1928  1 P 1.54
11 Li 0.9998 0.9998 0.9998  6 O 2.28-2.31
12 Ti 0.8581 0.8581 0.8581  6 O 1.91-2.01
13 O 0.2685 0.9156 0.0618  1 P 1.55
14 O 0.6932 0.8828 0.4936  1 P 1.51
15 Cr 0.6431 0.6431 0.6431  6 O 1.95-2.05
16 P 0.2492 0.9573 0.5415  4 O 1.54-1.56
17 Ti 0.3551 0.3551 0.3551  6 O 1.89-2.06
18 O 0.9434 0.7322 0.0845  1 P 1.54
19 O 0.7654 0.5549 0.4146  1 P 1.55
20 O 0.4435 0.5847 0.2354  1 P 1.57
21 O 0.3769 0.1928 0.0018  1 P 1.54
22 O 0.7322 0.0845 0.9434  1 P 1.54
23 O 0.1219 0.4987 0.3080  1 P 1.56
24 P 0.5415 0.2492 0.9573  4 O 1.54-1.56
25 O 0.4146 0.7654 0.5549  1 P 1.55
26 O 0.3080 0.1219 0.4987  1 P 1.56
27 O 0.6245 0.8062 0.9999  1 P 1.55
28 Ti 0.1407 0.1407 0.1407  6 O 1.93-1.97
29 P 0.7502 0.0396 0.4600  4 O 1.51-1.57
30 O 0.0618 0.2685 0.9156  1 P 1.55
31 P 0.4600 0.7502 0.0396  4 O 1.51-1.57
32 P 0.0396 0.4600 0.7502  4 O 1.51-1.57
33 O 0.4987 0.3080 0.1219  1 P 1.56
34 O 0.8062 0.9999 0.6245  1 P 1.55
35 O 0.2354 0.4435 0.5847  1 P 1.57
36 O 0.4936 0.6932 0.8828  1 P 1.51

Computed properties:
For the formation enthalpy at 0 K, the calculation gives -104.454 eV per formula unit. The energy with MP2020 corrections is -8.336 eV per atom. For the total energy, the calculation gives -7.776 eV/atom.

=====

LiTi3MnCrP6O24: optimized geometry, PBE with a Hubbard U.

Cell lengths 14.9417, 14.9417, 14.9417 Å; angles 33.49, 33.49, 33.49 degrees
With the nearest neighbours (Å) after each atom.
Element x y z (fractional)
1 O 0.6730 0.0242 0.8119  1 P 1.55
2 P 0.7520 0.0397 0.4614  4 O 1.52-1.57
3 O 0.9073 0.5332 0.7220  1 P 1.55
4 O 0.3270 0.1881 0.9758  1 P 1.55
5 O 0.9687 0.5834 0.7911  1 P 1.52
6 O 0.5834 0.7911 0.9687  1 P 1.52
7 O 0.1881 0.9758 0.3270  1 P 1.55
8 Li 0.3746 0.3746 0.3746  6 O 2.27-2.31
9 P 0.2091 0.7909 0.5000  4 O 1.54-1.55
10 O 0.4668 0.0927 0.2780  1 P 1.55
11 Ti 0.5544 0.5544 0.5544  6 O 1.92-2.00
12 O 0.8119 0.6730 0.0242  1 P 1.55
13 Ti 0.3030 0.3030 0.3030  6 O 1.90-2.02
14 O 0.7307 0.9358 0.0788  1 P 1.57
15 P 0.7064 0.2936 0.0000  4 O 1.54-1.55
16 P 0.5000 0.2091 0.7909  4 O 1.54-1.55
17 O 0.6562 0.4737 0.2806  1 P 1.54
18 O 0.8293 0.6884 0.4784  1 P 1.54
19 P 0.0000 0.7064 0.2936  4 O 1.54-1.55
20 O 0.9758 0.3270 0.1881  1 P 1.55
21 P 0.2936 0.0000 0.7064  4 O 1.54-1.55
22 O 0.7838 0.1596 0.9676  1 P 1.55
23 Mn 0.1252 0.1252 0.1252  6 O 2.23-2.27
24 P 0.7909 0.5000 0.2091  4 O 1.54-1.55
25 O 0.9358 0.0788 0.7307  1 P 1.57
26 O 0.5216 0.3116 0.1707  1 P 1.54
27 O 0.1596 0.9676 0.7838  1 P 1.55
28 O 0.4183 0.5622 0.7733  1 P 1.55
29 O 0.9212 0.0642 0.2693  1 P 1.57
30 O 0.2693 0.9212 0.0642  1 P 1.57
31 Ti 0.9473 0.9473 0.9473  6 O 1.89-2.03
32 O 0.3116 0.1707 0.5216  1 P 1.54
33 O 0.0927 0.2780 0.4668  1 P 1.55
34 P 0.0397 0.4614 0.7520  4 O 1.52-1.57
35 O 0.1707 0.5216 0.3116  1 P 1.54
36 O 0.2780 0.4668 0.0927  1 P 1.55
37 O 0.4784 0.8293 0.6884  1 P 1.54
38 O 0.6884 0.4784 0.8293  1 P 1.54
39 Mn 0.8748 0.8748 0.8748  6 O 2.23-2.27
40 O 0.0313 0.2089 0.4166  1 P 1.52
41 O 0.5817 0.2267 0.4378  1 P 1.55
42 O 0.5332 0.7220 0.9073  1 P 1.55
43 O 0.0242 0.8119 0.6730  1 P 1.55
44 O 0.7220 0.9073 0.5332  1 P 1.55
45 O 0.4378 0.5817 0.2267  1 P 1.55
46 O 0.2267 0.4378 0.5817  1 P 1.55
47 Cr 0.1957 0.1957 0.1957  6 O 1.93-2.04
48 O 0.3438 0.7194 0.5263  1 P 1.54
49 Ti 0.0527 0.0527 0.0527  6 O 1.89-2.03
50 P 0.4614 0.7520 0.0397  4 O 1.52-1.57
51 P 0.9603 0.2480 0.5386  4 O 1.52-1.57
52 Cr 0.8043 0.8043 0.8043  6 O 1.93-2.04
53 O 0.9676 0.7838 0.1596  1 P 1.55
54 O 0.4166 0.0313 0.2089  1 P 1.52
55 O 0.8404 0.2162 0.0324  1 P 1.55
56 O 0.5622 0.7733 0.4183  1 P 1.55
57 O 0.2089 0.4166 0.0313  1 P 1.52
58 O 0.2806 0.6562 0.4737  1 P 1.54
59 P 0.2480 0.5386 0.9603  4 O 1.52-1.57
60 O 0.7911 0.9687 0.5834  1 P 1.52
61 P 0.5386 0.9603 0.2480  4 O 1.52-1.57
62 O 0.4737 0.2806 0.6562  1 P 1.54
63 Ti 0.6970 0.6970 0.6970  6 O 1.90-2.02
64 O 0.0642 0.2693 0.9212  1 P 1.57
65 O 0.2162 0.0324 0.8404  1 P 1.55
66 O 0.0788 0.7307 0.9358  1 P 1.57
67 Ti 0.4456 0.4456 0.4456  6 O 1.92-2.00
68 Li 0.6254 0.6254 0.6254  6 O 2.27-2.31
69 O 0.7733 0.4183 0.5622  1 P 1.55
70 O 0.0324 0.8404 0.2162  1 P 1.55
71 O 0.5263 0.3438 0.7194  1 P 1.54
72 O 0.7194 0.5263 0.3438  1 P 1.54

Computed properties:
For the formation enthalpy at 0 K, the calculation gives -104.447 eV per formula unit. The energy with MP2020 corrections is -8.336 eV per atom. For the total energy, the calculation gives -7.776 eV/atom.